17
Lattice="5.9523 -7.8303 0.0000 5.9523 7.8303 0.0000 -3.3914 0.0000 6.3720" Properties=species:S:1:pos:R:3 comment="CsHg5Cl11, relaxed, DFT PBE" delta_e_f_mev_per_atom=-1178.8 mass_density_g_cm3=4.27 pbc="T T T"
Cs 0.0000 0.0000 0.0000
Hg -0.0359 2.4064 4.2101
Hg -0.0359 -2.4064 4.2101
Hg 5.9523 0.0000 0.0000
Hg 8.5491 2.4064 2.1618
Hg 8.5491 -2.4064 2.1618
Cl -1.6957 0.0000 3.1860
Cl 2.5993 4.6479 4.3740
Cl 3.3918 1.9406 0.1266
Cl 5.9139 4.6479 1.9980
Cl 2.2465 0.0000 4.0425
Cl 3.3918 -1.9406 0.1266
Cl 5.1214 1.9406 6.2453
Cl 6.2667 0.0000 2.3295
Cl 2.5993 -4.6479 4.3740
Cl 5.1214 -1.9406 6.2453
Cl 5.9139 -4.6479 1.9980